Record 1
The following is a DFT calculation (PBE-GGA) of an optimized crystal structure of CdTe.

Output
M_tot	0.00	μB per formula unit
space-group type	P3_121 (152)
density	6.149	Mg/m³
ΔH_f (0 K)	-0.562	eV per atom

Cell lengths 4.624, 4.624, 10.500 Å; angles 90.00, 90.00, 120.00 degrees
Element x y z (fractional)
Cd 0.000 0.506 0.167
Cd 0.494 0.494 0.500
Cd 0.506 0.000 0.833
Te 0.000 0.503 0.667
Te 0.497 0.497 0.000
Te 0.503 0.000 0.333

Record 2
The following is a DFT calculation (PBE-GGA) of an optimized crystal structure of Er5Pb4.

Output
M_tot	0.07	μB per formula unit
space-group type	Pnma (62)
density	10.647	Mg/m³
ΔH_f (0 K)	-0.495	eV per atom

Cell lengths 8.139, 15.573, 8.195 Å; angles 90.00, 90.00, 90.00 degrees
Element x y z (fractional)
Er 0.034 0.100 0.177
Er 0.034 0.400 0.177
Er 0.122 0.620 0.340
Er 0.122 0.880 0.340
Er 0.209 0.250 0.504
Er 0.291 0.750 0.004
Er 0.378 0.120 0.840
Er 0.378 0.380 0.840
Er 0.466 0.600 0.677
Er 0.466 0.900 0.677
Er 0.534 0.100 0.323
Er 0.534 0.400 0.323
Er 0.622 0.620 0.160
Er 0.622 0.880 0.160
Er 0.709 0.250 0.996
Er 0.791 0.750 0.496
Er 0.878 0.120 0.660
Er 0.878 0.380 0.660
Er 0.966 0.600 0.823
Er 0.966 0.900 0.823
Pb 0.072 0.250 0.873
Pb 0.154 0.750 0.651
Pb 0.219 0.042 0.532
Pb 0.219 0.458 0.532
Pb 0.281 0.542 0.032
Pb 0.281 0.958 0.032
Pb 0.346 0.250 0.151
Pb 0.428 0.750 0.373
Pb 0.572 0.250 0.627
Pb 0.654 0.750 0.849
Pb 0.719 0.042 0.968
Pb 0.719 0.458 0.968
Pb 0.781 0.542 0.468
Pb 0.781 0.958 0.468
Pb 0.846 0.250 0.349
Pb 0.928 0.750 0.127

Record 3
The following is a DFT calculation (PBE-GGA) of an optimized crystal structure of Fe5Sb4.

Output
M_tot	7.88	μB per formula unit
space-group type	Imm2 (44)
density	8.488	Mg/m³
ΔH_f (0 K)	-0.067	eV per atom

Cell lengths 6.552, 6.552, 6.552 Å; angles 143.40, 78.20, 113.68 degrees
Element x y z (fractional)
Fe 0.000 0.000 0.000
Fe 0.209 0.338 0.871
Fe 0.467 0.338 0.129
Fe 0.722 0.342 0.380
Fe 0.962 0.342 0.620
Sb 0.206 0.706 0.500
Sb 0.265 0.008 0.257
Sb 0.647 0.647 0.000
Sb 0.752 0.008 0.743

Record 4
The following is a DFT calculation (PBE-GGA) of an optimized crystal structure of KCaSmSeO6.

Output
M_tot	0.00	μB per formula unit
space-group type	F-43m (216)
density	4.935	Mg/m³
ΔH_f (0 K)	-2.356	eV per atom

Cell lengths 5.774, 5.774, 5.774 Å; angles 60.00, 60.00, 60.00 degrees
Element x y z (fractional)
K 0.000 0.000 0.000
Ca 0.500 0.500 0.500
Sm 0.750 0.750 0.750
Se 0.250 0.250 0.250
O 0.027 0.027 0.473
O 0.027 0.473 0.027
O 0.027 0.473 0.473
O 0.473 0.027 0.027
O 0.473 0.027 0.473
O 0.473 0.473 0.027